(1)
Crystalline LiMnP4O12 at its relaxed geometry, computed with PBE with a Hubbard U.

Structure (POSCAR):
```
LiMnP4O12
1.0
9.291 0.000 0.000
0.000 7.369 0.000
0.000 6.034 13.863
O P Li Mn
48 16 4 4
direct
0.657 0.429 0.205
0.843 0.429 0.705
0.655 0.201 0.551
0.442 0.192 0.267
0.096 0.263 0.134
0.209 0.424 0.965
0.783 0.456 0.405
0.345 0.799 0.449
0.636 0.775 0.899
0.407 0.953 0.837
0.136 0.225 0.601
0.596 0.737 0.366
0.907 0.047 0.663
0.881 0.200 0.886
0.058 0.192 0.767
0.283 0.544 0.095
0.217 0.544 0.595
0.362 0.901 0.035
0.548 0.502 0.700
0.138 0.901 0.535
0.852 0.104 0.257
0.593 0.047 0.163
0.148 0.896 0.743
0.845 0.201 0.051
0.942 0.808 0.233
0.619 0.200 0.386
0.717 0.456 0.905
0.952 0.502 0.200
0.862 0.099 0.465
0.791 0.576 0.035
0.558 0.808 0.733
0.352 0.896 0.243
0.404 0.263 0.634
0.157 0.571 0.295
0.709 0.576 0.535
0.648 0.104 0.757
0.119 0.800 0.114
0.452 0.498 0.300
0.638 0.099 0.965
0.048 0.498 0.800
0.364 0.225 0.101
0.155 0.799 0.949
0.343 0.571 0.795
0.381 0.800 0.614
0.093 0.953 0.337
0.904 0.737 0.866
0.864 0.775 0.399
0.291 0.424 0.465
0.552 0.923 0.803
0.448 0.077 0.197
0.548 0.349 0.284
0.734 0.227 0.458
0.048 0.651 0.216
0.277 0.358 0.574
0.777 0.642 0.926
0.952 0.349 0.784
0.723 0.642 0.426
0.266 0.773 0.542
0.234 0.773 0.042
0.452 0.651 0.716
0.766 0.227 0.958
0.223 0.358 0.074
0.052 0.077 0.697
0.948 0.923 0.303
0.571 0.884 0.088
0.929 0.884 0.588
0.071 0.116 0.412
0.429 0.116 0.912
0.154 0.662 0.858
0.846 0.338 0.142
0.654 0.338 0.642
0.346 0.662 0.358
```

## Properties
Its theoretical density is 2.6 Mg/m³. As for the energy above the most stable polymorph in this dataset: 63 meV/atom.

---

(2)
Crystalline LiCo2B2O6 at its relaxed geometry, computed with PBE with a Hubbard U.

Structure (POSCAR):
```
LiCo2B2O6
1.0
-3.345 3.104 2.321
-4.845 0.354 -1.847
-3.949 -2.713 3.260
O Co B Li
6 2 2 1
direct
0.644 0.312 0.696
0.811 0.990 0.273
0.916 0.472 0.830
0.125 0.501 0.174
0.326 0.710 0.333
0.168 0.001 0.707
0.239 0.607 0.750
0.756 0.405 0.234
0.904 0.260 0.751
0.081 0.741 0.260
0.393 0.064 0.322
```

## Properties
Its theoretical density is 3.4 Mg/m³. Its maximum piezoelectric response is 0.99 C/m².

---

(3)
Crystalline Fe2H2Se3O10 at its relaxed geometry, computed with PBE with a Hubbard U.

Structure (POSCAR):
```
Fe2H2Se3O10
1.0
10.166 0.000 0.000
0.000 8.014 0.000
0.000 5.798 11.558
O H Fe Se
40 8 8 12
direct
0.726 0.643 0.097
0.730 0.919 0.392
0.277 0.989 0.940
0.867 0.743 0.262
0.922 0.380 0.809
0.135 0.660 0.719
0.899 0.125 0.176
0.865 0.340 0.281
0.230 0.081 0.108
0.777 0.011 0.560
0.601 0.125 0.676
0.609 0.739 0.267
0.759 0.415 0.455
0.723 0.011 0.060
0.367 0.257 0.238
0.891 0.739 0.767
0.391 0.261 0.733
0.365 0.660 0.219
0.078 0.620 0.191
0.226 0.357 0.403
0.770 0.919 0.892
0.894 0.171 0.695
0.109 0.261 0.233
0.578 0.380 0.309
0.606 0.171 0.195
0.741 0.415 0.955
0.270 0.081 0.608
0.274 0.357 0.903
0.774 0.643 0.597
0.241 0.585 0.545
0.101 0.875 0.824
0.394 0.829 0.805
0.635 0.340 0.781
0.422 0.620 0.691
0.133 0.257 0.738
0.259 0.585 0.045
0.633 0.743 0.762
0.223 0.989 0.440
0.106 0.829 0.305
0.399 0.875 0.324
0.305 0.532 0.000
0.695 0.468 0.000
0.724 0.278 0.991
0.195 0.532 0.500
0.805 0.468 0.500
0.776 0.278 0.491
0.276 0.722 0.009
0.224 0.722 0.509
0.260 0.464 0.731
0.760 0.536 0.769
0.240 0.464 0.231
0.740 0.536 0.269
0.264 0.034 0.773
0.736 0.966 0.227
0.236 0.034 0.273
0.764 0.966 0.727
0.663 0.863 0.005
0.023 0.823 0.191
0.952 0.333 0.168
0.837 0.863 0.505
0.452 0.667 0.332
0.337 0.137 0.995
0.477 0.823 0.691
0.523 0.177 0.309
0.163 0.137 0.495
0.977 0.177 0.809
0.048 0.667 0.832
0.548 0.333 0.668
```

## Properties
Its theoretical density is 3.6 Mg/m³.

---

(4)
Crystalline BaYMgMnCuO5 at its relaxed geometry, computed with PBE with a Hubbard U.

Structure (POSCAR):
```
BaYMgMnCuO5
1.0
-2.915 2.146 0.314
-2.757 -3.711 -0.228
0.371 -0.837 9.157
Cu Mg O Y Mn Ba
1 1 5 1 1 1
direct
0.500 0.500 0.337
0.000 0.500 0.105
0.000 0.500 0.706
0.500 0.500 0.011
0.500 0.000 0.269
0.500 0.000 0.596
0.000 0.500 0.330
0.000 0.000 0.408
0.500 0.500 0.621
0.000 0.000 0.831
```

## Properties
Its theoretical density is 4.8 Mg/m³. As for the energy above the most stable polymorph in this dataset: 92 meV/atom.

---

Corrected total energy (MP2020 scheme) in eV per atom, matching the order above: -7.629 -7.484 -6.309 -7.054